{"formula": "Na8Ca3TiSi3S3O24", "functional": "PBE", "state": "optimized geometry", "m_tot_mub_per_cell": 0.000, "final_energy_ev_per_atom": -6.3355, "formation_enthalpy_0k_ev_per_atom": -2.635, "sg": "No. 1", "lattice_angstrom": [[9.417, 0.000, 0.000], [4.697, 8.165, 0.000], [0.168, -0.001, 22.780]], "species": ["Na", "Na", "Na", "Na", "Na", "Na", "Na", "Na", "Na", "Na", "Na", "Na", "Na", "Na", "Na", "Na", "Na", "Na", "Na", "Na", "Na", "Na", "Na", "Na", "Ca", "Ca", "Ca", "Ca", "Ca", "Ca", "Ca", "Ca", "Ca", "Ti", "Ti", "Ti", "Si", "Si", "Si", "Si", "Si", "Si", "Si", "Si", "Si", "S", "S", "S", "S", "S", "S", "S", "S", "S", "O", "O", "O", "O", "O", "O", "O", "O", "O", "O", "O", "O", "O", "O", "O", "O", "O", "O", "O", "O", "O", "O", "O", "O", "O", "O", "O", "O", "O", "O", "O", "O", "O", "O", "O", "O", "O", "O", "O", "O", "O", "O", "O", "O", "O", "O", "O", "O", "O", "O", "O", "O", "O", "O", "O", "O", "O", "O", "O", "O", "O", "O", "O", "O", "O", "O", "O", "O", "O", "O", "O", "O"], "fractional_positions": [[0.000, 0.000, 0.000], [0.004, 0.345, 0.470], [0.257, 0.358, 0.996], [0.265, 0.716, 0.491], [0.273, 0.039, 0.078], [0.305, 0.348, 0.305], [0.314, 0.684, 0.150], [0.321, 0.996, 0.578], [0.326, 0.638, 0.812], [0.353, 0.301, 0.663], [0.576, 0.703, 0.660], [0.588, 0.068, 0.166], [0.611, 0.360, 0.735], [0.635, 0.972, 0.479], [0.641, 0.026, 0.812], [0.643, 0.327, 0.233], [0.653, 0.686, 0.979], [0.674, 0.661, 0.313], [0.923, 0.400, 0.826], [0.928, 0.036, 0.300], [0.953, 0.680, 0.385], [0.968, 0.657, 0.897], [0.974, 0.027, 0.650], [0.988, 0.289, 0.154], [0.295, 0.022, 0.220], [0.305, 0.014, 0.720], [0.306, 0.026, 0.403], [0.628, 0.345, 0.591], [0.636, 0.352, 0.884], [0.638, 0.344, 0.381], [0.652, 0.333, 0.086], [0.966, 0.685, 0.553], [0.972, 0.676, 0.052], [0.306, 0.036, 0.910], [0.964, 0.688, 0.749], [0.975, 0.678, 0.246], [0.261, 0.683, 0.650], [0.270, 0.383, 0.148], [0.292, 0.329, 0.811], [0.604, 0.721, 0.815], [0.624, 0.002, 0.315], [0.672, 0.977, 0.649], [0.953, 0.336, 0.978], [0.970, 0.974, 0.148], [0.989, 0.336, 0.316], [0.008, 0.004, 0.817], [0.291, 0.709, 0.317], [0.331, 0.343, 0.484], [0.331, 0.663, 0.981], [0.622, 0.044, 0.979], [0.631, 0.650, 0.485], [0.675, 0.679, 0.151], [0.943, 0.044, 0.484], [0.964, 0.392, 0.652], [0.006, 0.844, 0.814], [0.070, 0.035, 0.762], [0.075, 0.203, 0.264], [0.099, 0.270, 0.377], [0.104, 0.223, 0.658], [0.111, 0.024, 0.480], [0.117, 0.506, 0.811], [0.118, 0.988, 0.867], [0.137, 0.700, 0.310], [0.138, 0.674, 0.706], [0.138, 0.983, 0.153], [0.144, 0.162, 0.967], [0.145, 0.508, 0.203], [0.162, 0.489, 0.485], [0.162, 0.688, 0.984], [0.176, 0.458, 0.087], [0.176, 0.690, 0.587], [0.268, 0.808, 0.371], [0.269, 0.851, 0.654], [0.279, 0.209, 0.868], [0.297, 0.198, 0.153], [0.319, 0.223, 0.753], [0.321, 0.190, 0.482], [0.321, 0.786, 0.265], [0.322, 0.826, 0.975], [0.410, 0.559, 0.928], [0.414, 0.360, 0.431], [0.426, 0.334, 0.537], [0.431, 0.540, 0.322], [0.431, 0.582, 0.034], [0.439, 0.516, 0.658], [0.441, 0.388, 0.155], [0.451, 0.349, 0.821], [0.466, 0.034, 0.973], [0.481, 0.817, 0.484], [0.486, 0.008, 0.653], [0.490, 0.857, 0.870], [0.497, 0.790, 0.756], [0.499, 0.030, 0.262], [0.508, 0.819, 0.158], [0.560, 0.958, 0.377], [0.598, 0.145, 0.031], [0.624, 0.564, 0.539], [0.634, 0.537, 0.823], [0.637, 0.556, 0.432], [0.644, 0.165, 0.318], [0.646, 0.120, 0.926], [0.671, 0.523, 0.151], [0.680, 0.146, 0.658], [0.743, 0.701, 0.095], [0.746, 0.882, 0.588], [0.763, 0.874, 0.984], [0.781, 0.670, 0.202], [0.783, 0.665, 0.483], [0.785, 0.718, 0.812], [0.798, 0.380, 0.320], [0.798, 0.852, 0.706], [0.803, 0.152, 0.157], [0.808, 0.387, 0.653], [0.809, 0.837, 0.303], [0.837, 0.138, 0.825], [0.844, 0.133, 0.431], [0.845, 0.358, 0.920], [0.863, 0.138, 0.538], [0.883, 0.293, 0.037], [0.954, 0.497, 0.704], [0.956, 0.878, 0.483], [0.967, 0.851, 0.203], [0.973, 0.500, 0.980], [0.975, 0.890, 0.085], [0.983, 0.516, 0.303], [0.986, 0.459, 0.597]]}